[1]
Below is a relaxed structure of K10Zn4Sn4S17, with properties calculated at the PBE-GGA level.

Geometry as POSCAR:
```
K10Zn4Sn4S17
1.0
6.773 6.505 -3.700
-7.535 5.945 -3.124
0.172 4.760 8.899
K Zn Sn S
10 4 4 17
direct
0.000 0.500 0.000
0.000 0.000 0.500
0.500 0.000 0.000
0.043 0.501 0.501
0.501 0.043 0.501
0.501 0.501 0.043
0.334 0.676 0.334
0.334 0.334 0.676
0.676 0.334 0.334
0.667 0.667 0.667
0.866 0.866 0.866
0.133 0.866 0.133
0.866 0.133 0.133
0.133 0.133 0.866
0.224 0.776 0.776
0.776 0.224 0.776
0.776 0.776 0.224
0.223 0.223 0.223
0.001 0.001 0.001
0.353 0.639 0.639
0.639 0.353 0.639
0.639 0.639 0.353
0.359 0.359 0.359
0.992 0.727 0.727
0.727 0.992 0.727
0.727 0.727 0.992
0.008 0.728 0.273
0.274 0.994 0.274
0.273 0.728 0.008
0.994 0.274 0.274
0.728 0.008 0.273
0.728 0.273 0.008
0.008 0.273 0.728
0.273 0.008 0.728
0.274 0.274 0.994
```

* DFT formation energy: -114.87 kJ/mol of atoms
* MP2020-corrected energy: -4.12 eV per atom

---

[2]
Below is a relaxed structure of K4Ta2S11, with properties calculated at the PBE-GGA level.

Geometry as POSCAR:
```
K4Ta2S11
1.0
7.614 0.000 0.000
0.920 11.621 0.000
0.758 4.287 11.188
K Ta S
8 4 22
direct
0.229 0.653 0.947
0.744 0.369 0.506
0.256 0.631 0.494
0.473 0.187 0.846
0.784 0.963 0.388
0.216 0.037 0.612
0.527 0.813 0.154
0.771 0.347 0.053
0.266 0.353 0.341
0.734 0.647 0.659
0.355 0.133 0.204
0.645 0.867 0.796
0.166 0.969 0.203
0.611 0.083 0.120
0.389 0.917 0.880
0.234 0.339 0.534
0.933 0.806 0.665
0.067 0.194 0.335
0.654 0.637 0.898
0.346 0.363 0.102
0.712 0.064 0.635
0.288 0.936 0.365
0.036 0.624 0.730
0.964 0.376 0.270
0.731 0.416 0.759
0.269 0.584 0.241
0.491 0.181 0.366
0.191 0.268 0.030
0.834 0.031 0.797
0.809 0.732 0.970
0.487 0.516 0.745
0.513 0.484 0.255
0.509 0.819 0.634
0.766 0.661 0.466
```

* DFT formation energy: -121.88 kJ/mol of atoms
* offset from the most stable computed form: 0.000 eV/atom
* MP2020-corrected energy: -5.60 eV per atom

---

[3]
Below is a relaxed structure of K4Ta2S11, with properties calculated at the PBE-GGA level.

Geometry as POSCAR:
```
K4Ta2S11
1.0
-5.427 4.959 -1.792
-7.898 -5.137 9.703
7.009 12.033 12.076
K Ta S
16 8 44
direct
0.328 0.772 0.432
0.672 0.228 0.932
0.672 0.272 0.432
0.328 0.728 0.932
0.208 0.716 0.680
0.792 0.284 0.180
0.792 0.216 0.680
0.218 0.463 0.328
0.185 0.092 0.531
0.815 0.908 0.031
0.815 0.592 0.531
0.185 0.408 0.031
0.208 0.784 0.180
0.782 0.963 0.328
0.782 0.537 0.828
0.218 0.037 0.828
0.259 0.056 0.088
0.741 0.944 0.588
0.741 0.556 0.088
0.259 0.444 0.588
0.198 0.117 0.269
0.802 0.883 0.769
0.802 0.617 0.269
0.198 0.383 0.769
0.260 0.171 0.980
0.740 0.829 0.480
0.740 0.671 0.980
0.260 0.329 0.480
0.246 0.956 0.328
0.754 0.044 0.828
0.754 0.456 0.328
0.246 0.544 0.828
0.030 0.485 0.680
0.970 0.515 0.180
0.970 0.985 0.680
0.030 0.015 0.180
0.221 0.265 0.665
0.779 0.735 0.165
0.779 0.765 0.665
0.221 0.235 0.165
0.967 0.317 0.830
0.608 0.571 0.375
0.033 0.817 0.830
0.967 0.183 0.330
0.464 0.482 0.689
0.536 0.518 0.189
0.536 0.982 0.689
0.464 0.018 0.189
0.255 0.589 0.527
0.745 0.411 0.027
0.745 0.089 0.527
0.255 0.911 0.027
0.392 0.429 0.875
0.018 0.152 0.032
0.608 0.929 0.875
0.392 0.071 0.375
0.575 0.406 0.602
0.425 0.594 0.102
0.425 0.906 0.602
0.575 0.094 0.102
0.395 0.240 0.751
0.605 0.760 0.251
0.605 0.740 0.751
0.395 0.260 0.251
0.018 0.348 0.532
0.982 0.652 0.032
0.982 0.848 0.532
0.033 0.683 0.330
```

* DFT formation energy: -120.65 kJ/mol of atoms
* offset from the most stable computed form: 0.013 eV/atom
* MP2020-corrected energy: -5.58 eV per atom

---

[4]
Below is a relaxed structure of K2Ta3S6, with properties calculated at the PBE-GGA level.

Geometry as POSCAR:
```
K2Ta3S6
1.0
15.968 -2.944 0.000
15.968 2.944 0.000
15.425 0.000 5.071
K Ta S
4 6 12
direct
0.916 0.916 0.916
0.583 0.583 0.583
0.417 0.417 0.417
0.084 0.084 0.084
0.000 0.000 0.000
0.333 0.333 0.333
0.667 0.667 0.667
0.833 0.167 0.500
0.500 0.833 0.167
0.167 0.500 0.833
0.868 0.531 0.198
0.198 0.868 0.531
0.531 0.198 0.868
0.802 0.469 0.132
0.132 0.802 0.469
0.469 0.132 0.802
0.970 0.633 0.300
0.300 0.970 0.633
0.633 0.300 0.970
0.700 0.367 0.030
0.030 0.700 0.367
0.367 0.030 0.700
```

* DFT formation energy: -144.09 kJ/mol of atoms
* MP2020-corrected energy: -7.19 eV per atom

---

[5]
Below is a relaxed structure of KTbS2, with properties calculated at the PBE-GGA level.

Geometry as POSCAR:
```
KTbS2
1.0
-1.046 -3.622 -1.542
1.039 -0.965 -3.819
6.324 -4.398 0.660
K Tb S
1 1 2
direct
0.500 0.500 0.500
0.000 0.000 0.000
0.734 0.734 0.798
0.266 0.266 0.202
```

* DFT formation energy: -205.60 kJ/mol of atoms
* MP2020-corrected energy: -5.64 eV per atom

---

[6]
Below is a relaxed structure of K2Tc3S6, with properties calculated at the PBE-GGA level.

Geometry as POSCAR:
```
K2Tc3S6
1.0
4.926 8.344 0.000
-4.926 8.344 0.000
0.000 0.312 12.025
K Tc S
8 12 24
direct
0.599 0.401 0.750
0.401 0.599 0.250
0.209 0.791 0.750
0.791 0.209 0.250
0.121 0.643 0.021
0.357 0.879 0.479
0.879 0.357 0.979
0.643 0.121 0.521
0.003 0.310 0.526
0.690 0.997 0.974
0.997 0.690 0.474
0.310 0.003 0.026
0.114 0.470 0.630
0.530 0.886 0.870
0.886 0.530 0.370
0.470 0.114 0.130
0.813 0.603 0.583
0.397 0.187 0.917
0.187 0.397 0.417
0.603 0.813 0.083
0.072 0.258 0.333
0.742 0.928 0.167
0.928 0.742 0.667
0.258 0.072 0.833
0.793 0.721 0.931
0.279 0.207 0.569
0.207 0.279 0.069
0.721 0.793 0.431
0.061 0.610 0.284
0.390 0.939 0.216
0.939 0.390 0.716
0.610 0.061 0.784
0.275 0.554 0.520
0.446 0.725 0.980
0.725 0.446 0.480
0.554 0.275 0.020
0.060 0.000 0.073
0.000 0.940 0.427
0.940 0.000 0.927
0.000 0.060 0.573
0.264 0.438 0.805
0.562 0.736 0.695
0.736 0.562 0.195
0.438 0.264 0.305
```

* DFT formation energy: -107.49 kJ/mol of atoms
* MP2020-corrected energy: -6.40 eV per atom

---

[7]
Below is a relaxed structure of K2TeS3, with properties calculated at the PBE-GGA level.

Geometry as POSCAR:
```
K2TeS3
1.0
9.304 0.000 0.000
0.000 6.487 0.000
0.000 6.250 13.441
K Te S
8 4 12
direct
0.112 0.007 0.747
0.388 0.007 0.247
0.888 0.993 0.253
0.612 0.993 0.753
0.369 0.663 0.584
0.869 0.337 0.916
0.631 0.337 0.416
0.131 0.663 0.084
0.682 0.721 0.081
0.182 0.279 0.419
0.318 0.279 0.919
0.818 0.721 0.581
0.857 0.073 0.589
0.643 0.073 0.089
0.143 0.927 0.411
0.357 0.927 0.911
0.663 0.815 0.441
0.163 0.185 0.059
0.337 0.185 0.559
0.837 0.815 0.941
0.659 0.530 0.717
0.159 0.470 0.783
0.341 0.470 0.283
0.841 0.530 0.217
```

* DFT formation energy: -96.22 kJ/mol of atoms
* MP2020-corrected energy: -3.96 eV per atom

---

[8]
Below is a relaxed structure of K3TeS4, with properties calculated at the PBE-GGA level.

Geometry as POSCAR:
```
K3TeS4
1.0
-6.505 6.505 6.505
6.505 -6.505 6.505
6.505 6.505 -6.505
K Te S
12 4 16
direct
0.250 0.500 0.750
0.500 0.250 0.750
0.750 0.250 0.500
0.250 0.750 0.500
0.500 0.750 0.250
0.750 0.500 0.250
0.000 0.251 0.251
0.749 0.749 0.000
0.749 0.000 0.749
0.251 0.251 0.000
0.251 0.000 0.251
0.000 0.749 0.749
0.453 0.000 0.000
0.547 0.547 0.547
0.000 0.000 0.453
0.000 0.453 0.000
0.000 0.000 0.000
0.000 0.500 0.500
0.500 0.500 0.000
0.500 0.000 0.500
0.500 0.203 0.203
0.297 0.797 0.000
0.297 0.000 0.797
0.500 0.703 0.703
0.703 0.703 0.500
0.703 0.500 0.703
0.000 0.797 0.297
0.203 0.203 0.500
0.797 0.000 0.297
0.000 0.297 0.797
0.797 0.297 0.000
0.203 0.500 0.203
```

* DFT formation energy: -86.07 kJ/mol of atoms
* MP2020-corrected energy: -3.77 eV per atom

---

[9]
Below is a relaxed structure of KV5S8, with properties calculated at the PBE-GGA level.

Geometry as POSCAR:
```
KV5S8
1.0
0.000 3.312 0.000
2.133 0.000 -8.523
-8.726 -1.656 0.000
K V S
1 5 8
direct
0.500 0.500 0.000
0.000 0.000 0.000
0.353 0.013 0.706
0.647 0.987 0.294
0.292 0.667 0.584
0.708 0.333 0.416
0.574 0.168 0.148
0.426 0.832 0.852
0.084 0.817 0.167
0.916 0.183 0.833
0.165 0.492 0.331
0.835 0.508 0.669
0.240 0.150 0.480
0.760 0.850 0.520
```

* DFT formation energy: -124.10 kJ/mol of atoms
* offset from the most stable computed form: 0.005 eV/atom
* MP2020-corrected energy: -6.97 eV per atom

---

[10]
Below is a relaxed structure of K3VS4, with properties calculated at the PBE-GGA level.

Geometry as POSCAR:
```
K3VS4
1.0
9.220 0.000 0.000
0.000 9.320 0.000
0.000 0.000 10.740
K V S
12 4 16
direct
0.054 0.208 0.046
0.137 0.419 0.750
0.363 0.919 0.250
0.637 0.081 0.750
0.863 0.581 0.250
0.946 0.792 0.546
0.554 0.292 0.454
0.446 0.708 0.954
0.554 0.292 0.046
0.054 0.208 0.454
0.446 0.708 0.546
0.946 0.792 0.954
0.784 0.014 0.250
0.716 0.514 0.750
0.284 0.486 0.250
0.216 0.986 0.750
0.331 0.051 0.916
0.197 0.755 0.750
0.303 0.255 0.250
0.697 0.745 0.750
0.803 0.245 0.250
0.001 0.080 0.750
0.499 0.580 0.250
0.501 0.420 0.750
0.999 0.920 0.250
0.669 0.949 0.416
0.831 0.449 0.584
0.169 0.551 0.084
0.669 0.949 0.084
0.331 0.051 0.584
0.169 0.551 0.416
0.831 0.449 0.916
```

* DFT formation energy: -137.38 kJ/mol of atoms
* MP2020-corrected energy: -5.04 eV per atom

---

[11]
Below is a relaxed structure of KV2S4, with properties calculated at the PBE-GGA level.

Geometry as POSCAR:
```
KV2S4
1.0
-1.709 -2.960 0.000
-1.567 0.905 7.739
-5.081 2.933 -0.108
K V S
1 2 4
direct
0.500 0.491 0.656
0.000 0.998 0.029
0.500 0.002 0.474
0.000 0.810 0.392
0.500 0.835 0.882
0.000 0.164 0.623
0.500 0.190 0.114
```

* DFT formation energy: -124.58 kJ/mol of atoms
* MP2020-corrected energy: -6.41 eV per atom

---

Repeat the fifth record exactly.
Below is a relaxed structure of KTbS2, with properties calculated at the PBE-GGA level.

Geometry as POSCAR:
```
KTbS2
1.0
-1.046 -3.622 -1.542
1.039 -0.965 -3.819
6.324 -4.398 0.660
K Tb S
1 1 2
direct
0.500 0.500 0.500
0.000 0.000 0.000
0.734 0.734 0.798
0.266 0.266 0.202
```

* DFT formation energy: -205.60 kJ/mol of atoms
* MP2020-corrected energy: -5.64 eV per atom